--- i ---
## Li20Co21O40 (GGA+U)

Data for an optimized crystal structure of Li20Co21O40.

Unit cell a=9.954 b=8.126 c=9.954 alpha=114.09 beta=80.41 gamma=114.09
Fractional coordinates of all 81 atoms:
1 Li 0.199 0.297 0.899
2 Li 0.099 0.902 0.701
3 Li 0.010 0.509 0.504
4 Li 0.194 0.791 0.405
5 Li 0.090 0.895 0.196
6 Li 0.396 0.601 0.810
7 Li 0.294 0.707 0.602
8 Li 0.001 0.002 0.999
9 Li 0.346 0.022 0.282
10 Li 0.605 0.914 0.706
11 Li 0.298 0.687 0.094
12 Li 0.704 0.295 0.890
13 Li 0.482 0.560 0.554
14 Li 0.754 0.293 0.418
15 Li 0.495 0.503 0.994
16 Li 0.618 0.425 0.146
17 Li 0.901 0.099 0.801
18 Li 0.802 0.195 0.606
19 Li 0.806 0.712 0.098
20 Li 0.906 0.092 0.295
21 Co 0.200 0.799 0.898
22 Co 0.998 0.999 0.501
23 Co 0.098 0.399 0.700
24 Co 0.102 0.400 0.199
25 Co 0.198 0.299 0.400
26 Co 0.298 0.200 0.601
27 Co 0.399 0.099 0.798
28 Co 0.002 0.501 0.000
29 Co 0.600 0.402 0.702
30 Co 0.400 0.600 0.300
31 Co 0.299 0.198 0.098
32 Co 0.701 0.802 0.902
33 Co 0.500 0.000 0.500
34 Co 0.550 0.325 0.350
35 Co 0.801 0.701 0.602
36 Co 0.900 0.601 0.802
37 Co 0.700 0.800 0.400
38 Co 0.600 0.900 0.200
39 Co 0.500 0.999 0.998
40 Co 0.802 0.201 0.099
41 Co 0.902 0.601 0.300
42 O 0.005 0.736 0.988
43 O 0.095 0.643 0.712
44 O 0.188 0.552 0.895
45 O 0.101 0.156 0.688
46 O 0.212 0.045 0.901
47 O 0.007 0.246 0.507
48 O 0.486 0.229 0.992
49 O 0.393 0.861 0.807
50 O 0.093 0.632 0.193
51 O 0.284 0.431 0.598
52 O 0.192 0.062 0.414
53 O 0.205 0.536 0.387
54 O 0.312 0.969 0.603
55 O 0.402 0.335 0.788
56 O 0.112 0.168 0.202
57 O 0.388 0.351 0.294
58 O 0.587 0.151 0.695
59 O 0.698 0.045 0.912
60 O 0.297 0.443 0.112
61 O 0.494 0.242 0.512
62 O 0.302 0.953 0.084
63 O 0.412 0.845 0.304
64 O 0.504 0.759 0.488
65 O 0.707 0.561 0.893
66 O 0.614 0.651 0.708
67 O 0.688 0.029 0.396
68 O 0.596 0.667 0.212
69 O 0.888 0.832 0.799
70 O 0.798 0.467 0.616
71 O 0.912 0.370 0.805
72 O 0.712 0.570 0.406
73 O 0.803 0.933 0.588
74 O 0.606 0.136 0.188
75 O 0.513 0.770 0.005
76 O 0.988 0.753 0.498
77 O 0.788 0.954 0.097
78 O 0.895 0.843 0.313
79 O 0.908 0.357 0.286
80 O 0.816 0.449 0.102
81 O 0.999 0.266 0.012



--- ii ---
## Li20Co21O40 (GGA+U)

Data for an optimized crystal structure of Li20Co21O40.

Unit cell a=28.821 b=15.240 c=9.968 alpha=29.24 beta=30.06 gamma=19.19
Fractional coordinates of all 81 atoms:
1 Li 0.998 0.005 0.001
2 Li 0.097 0.003 0.002
3 Li 0.198 0.998 0.999
4 Li 0.249 0.043 0.040
5 Li 0.380 0.049 0.045
6 Li 0.193 0.519 0.996
7 Li 0.505 0.996 0.997
8 Li 0.604 0.994 0.989
9 Li 0.396 0.516 0.989
10 Li 0.706 0.996 0.991
11 Li 0.092 0.002 0.518
12 Li 0.803 0.989 0.999
13 Li 0.658 0.370 0.031
14 Li 0.908 0.989 0.997
15 Li 0.296 0.000 0.517
16 Li 0.800 0.498 0.004
17 Li 0.519 0.042 0.366
18 Li 0.991 0.517 0.999
19 Li 0.701 0.988 0.516
20 Li 0.899 0.004 0.500
21 Co 0.097 0.503 0.003
22 Co 0.197 0.005 0.503
23 Co 0.099 0.503 0.498
24 Co 0.396 0.006 0.498
25 Co 0.299 0.503 0.998
26 Co 0.199 0.502 0.498
27 Co 0.298 0.503 0.500
28 Co 0.600 0.001 0.498
29 Co 0.497 0.504 0.003
30 Co 0.398 0.505 0.500
31 Co 0.500 0.500 0.502
32 Co 0.702 0.494 0.006
33 Co 0.800 0.999 0.502
34 Co 0.599 0.501 0.503
35 Co 0.702 0.497 0.497
36 Co 0.903 0.497 0.997
37 Co 0.450 0.874 0.877
38 Co 0.003 0.996 0.497
39 Co 0.805 0.492 0.498
40 Co 0.899 0.499 0.503
41 Co 0.998 0.503 0.502
42 O 0.094 0.262 0.263
43 O 0.004 0.261 0.719
44 O 0.183 0.266 0.265
45 O 0.088 0.283 0.735
46 O 0.294 0.265 0.258
47 O 0.200 0.268 0.716
48 O 0.113 0.717 0.260
49 O 0.385 0.265 0.258
50 O 0.014 0.737 0.738
51 O 0.284 0.287 0.741
52 O 0.197 0.736 0.282
53 O 0.104 0.737 0.743
54 O 0.487 0.282 0.247
55 O 0.392 0.282 0.728
56 O 0.309 0.721 0.266
57 O 0.582 0.281 0.250
58 O 0.210 0.745 0.739
59 O 0.391 0.744 0.289
60 O 0.486 0.286 0.737
61 O 0.303 0.741 0.739
62 O 0.696 0.256 0.269
63 O 0.603 0.261 0.719
64 O 0.513 0.717 0.264
65 O 0.786 0.260 0.265
66 O 0.410 0.744 0.738
67 O 0.587 0.756 0.275
68 O 0.683 0.275 0.755
69 O 0.488 0.760 0.751
70 O 0.911 0.243 0.243
71 O 0.817 0.237 0.724
72 O 0.718 0.724 0.242
73 O 0.991 0.256 0.258
74 O 0.619 0.712 0.756
75 O 0.888 0.279 0.743
76 O 0.806 0.722 0.275
77 O 0.710 0.722 0.755
78 O 0.912 0.719 0.262
79 O 0.813 0.739 0.739
80 O 0.994 0.742 0.282
81 O 0.906 0.740 0.734



Order of stability, best first: ii, i



--- i ---
## K2FeP2H3O8F2 (GGA+U)

Data for an optimized crystal structure of K2FeP2H3O8F2.

Unit cell a=4.858 b=8.455 c=11.037 alpha=90.00 beta=93.70 gamma=90.00
Fractional coordinates of all 36 atoms:
1 K 0.510 0.397 0.830
2 K 0.490 0.897 0.670
3 K 0.497 0.605 0.167
4 K 0.503 0.105 0.333
5 Fe 0.499 0.498 0.500
6 Fe 0.501 0.998 0.000
7 P 0.983 0.737 0.415
8 P 0.017 0.237 0.085
9 P 0.016 0.257 0.583
10 P 0.984 0.757 0.917
11 H 0.947 0.843 0.230
12 H 0.053 0.343 0.270
13 H 0.049 0.157 0.769
14 H 0.951 0.657 0.731
15 H 0.981 0.987 0.497
16 H 0.019 0.487 0.003
17 O 0.763 0.610 0.392
18 O 0.237 0.110 0.108
19 O 0.237 0.386 0.605
20 O 0.763 0.886 0.895
21 O 0.092 0.791 0.287
22 O 0.908 0.291 0.213
23 O 0.907 0.211 0.713
24 O 0.093 0.711 0.787
25 O 0.242 0.690 0.491
26 O 0.758 0.190 0.009
27 O 0.755 0.310 0.508
28 O 0.245 0.810 0.992
29 O 0.842 0.886 0.471
30 O 0.158 0.386 0.029
31 O 0.143 0.107 0.528
32 O 0.857 0.607 0.972
33 F 0.318 0.409 0.348
34 F 0.682 0.909 0.152
35 F 0.678 0.593 0.650
36 F 0.322 0.093 0.850



--- ii ---
## K2FeP2H3O8F2 (GGA+U)

Data for an optimized crystal structure of K2FeP2H3O8F2.

Unit cell a=7.199 b=8.502 c=8.619 alpha=79.99 beta=87.45 gamma=87.07
Fractional coordinates of all 36 atoms:
1 K 0.169 0.678 0.585
2 K 0.693 0.284 0.913
3 K 0.417 0.652 0.075
4 K 0.926 0.349 0.540
5 Fe 0.271 0.162 0.279
6 Fe 0.962 0.751 0.094
7 P 0.556 0.842 0.419
8 P 0.983 0.947 0.763
9 P 0.817 0.111 0.257
10 P 0.405 0.002 0.701
11 H 0.232 0.347 0.977
12 H 0.553 0.573 0.529
13 H 0.102 0.652 0.981
14 H 0.417 0.169 0.667
15 H 0.753 0.544 0.210
16 H 0.022 0.540 0.907
17 O 0.115 0.430 0.232
18 O 0.619 0.579 0.629
19 O 0.965 0.950 0.949
20 O 0.143 0.074 0.687
21 O 0.221 0.392 0.862
22 O 0.356 0.856 0.819
23 O 0.227 0.377 0.356
24 O 0.006 0.102 0.332
25 O 0.793 0.081 0.702
26 O 0.687 0.744 0.572
27 O 0.736 0.930 0.345
28 O 0.765 0.609 0.105
29 O 0.422 0.959 0.517
30 O 0.629 0.976 0.772
31 O 0.476 0.694 0.376
32 O 0.024 0.448 0.845
33 F 0.427 0.960 0.247
34 F 0.062 0.749 0.289
35 F 0.686 0.220 0.371
36 F 0.417 0.272 0.096



Order of stability, best first: i, ii



--- i ---
## MgMnP2O7 (GGA+U)

Data for an optimized crystal structure of MgMnP2O7.

Unit cell a=5.448 b=5.448 c=5.015 alpha=84.38 beta=95.62 gamma=79.46
Fractional coordinates of all 11 atoms:
1 Mg 0.499 0.499 0.000
2 Mn 0.105 0.105 0.000
3 P 0.254 0.663 0.564
4 P 0.663 0.254 0.436
5 O 0.547 0.547 0.500
6 O 0.189 0.436 0.734
7 O 0.106 0.777 0.299
8 O 0.325 0.834 0.779
9 O 0.777 0.106 0.701
10 O 0.834 0.325 0.221
11 O 0.436 0.189 0.266



--- ii ---
## MgMnP2O7 (GGA+U)

Data for an optimized crystal structure of MgMnP2O7.

Unit cell a=5.513 b=5.513 c=4.695 alpha=82.85 beta=97.15 gamma=75.61
Fractional coordinates of all 11 atoms:
1 Mg 0.753 0.753 0.500
2 Mn 0.128 0.128 0.000
3 P 0.251 0.675 0.598
4 P 0.675 0.251 0.402
5 O 0.512 0.512 0.500
6 O 0.105 0.505 0.747
7 O 0.076 0.812 0.312
8 O 0.368 0.838 0.781
9 O 0.812 0.076 0.688
10 O 0.838 0.368 0.219
11 O 0.505 0.105 0.253



Order of stability, best first: ii, i



--- i ---
## NaLi5Fe2P2C2O14 (GGA+U)

Data for an optimized crystal structure of NaLi5Fe2P2C2O14.

Unit cell a=6.531 b=8.547 c=10.076 alpha=85.91 beta=90.00 gamma=90.00
Fractional coordinates of all 52 atoms:
1 Na 0.001 0.255 0.627
2 Na 0.501 0.745 0.373
3 Li 0.263 0.090 0.877
4 Li 0.242 0.088 0.373
5 Li 0.477 0.276 0.621
6 Li 0.020 0.273 0.125
7 Li 0.478 0.273 0.124
8 Li 0.520 0.727 0.875
9 Li 0.978 0.727 0.876
10 Li 0.977 0.724 0.379
11 Li 0.742 0.912 0.627
12 Li 0.763 0.910 0.123
13 Fe 0.752 0.337 0.896
14 Fe 0.743 0.343 0.391
15 Fe 0.243 0.657 0.609
16 Fe 0.252 0.663 0.104
17 P 0.257 0.411 0.858
18 P 0.243 0.409 0.354
19 P 0.743 0.591 0.646
20 P 0.757 0.589 0.142
21 C 0.748 0.034 0.859
22 C 0.758 0.041 0.353
23 C 0.258 0.959 0.647
24 C 0.248 0.966 0.141
25 O 0.282 0.101 0.679
26 O 0.245 0.112 0.169
27 O 0.754 0.075 0.980
28 O 0.755 0.076 0.477
29 O 0.744 0.143 0.761
30 O 0.736 0.153 0.259
31 O 0.066 0.310 0.902
32 O 0.439 0.309 0.916
33 O 0.057 0.301 0.394
34 O 0.430 0.312 0.410
35 O 0.271 0.428 0.703
36 O 0.729 0.429 0.588
37 O 0.256 0.430 0.199
38 O 0.754 0.423 0.091
39 O 0.254 0.577 0.909
40 O 0.756 0.570 0.801
41 O 0.229 0.571 0.412
42 O 0.771 0.572 0.297
43 O 0.557 0.699 0.606
44 O 0.930 0.688 0.590
45 O 0.566 0.690 0.098
46 O 0.939 0.691 0.084
47 O 0.236 0.847 0.741
48 O 0.244 0.857 0.239
49 O 0.255 0.924 0.523
50 O 0.254 0.925 0.020
51 O 0.745 0.888 0.831
52 O 0.782 0.899 0.321



--- ii ---
## NaLi5Fe2P2C2O14 (GGA+U)

Data for an optimized crystal structure of NaLi5Fe2P2C2O14.

Unit cell a=6.607 b=8.590 c=9.982 alpha=87.74 beta=89.62 gamma=89.59
Fractional coordinates of all 52 atoms:
1 Na 0.747 0.085 0.877
2 Na 0.003 0.251 0.124
3 Li 0.739 0.088 0.377
4 Li 0.981 0.270 0.611
5 Li 0.523 0.271 0.615
6 Li 0.517 0.273 0.116
7 Li 0.478 0.729 0.888
8 Li 0.023 0.728 0.888
9 Li 0.486 0.734 0.386
10 Li 0.013 0.735 0.384
11 Li 0.251 0.906 0.625
12 Li 0.261 0.906 0.127
13 Fe 0.255 0.354 0.884
14 Fe 0.250 0.348 0.393
15 Fe 0.749 0.656 0.613
16 Fe 0.750 0.648 0.112
17 P 0.751 0.418 0.850
18 P 0.744 0.411 0.356
19 P 0.250 0.593 0.645
20 P 0.254 0.591 0.145
21 C 0.252 0.042 0.864
22 C 0.253 0.041 0.365
23 C 0.750 0.961 0.628
24 C 0.741 0.945 0.146
25 O 0.754 0.110 0.644
26 O 0.723 0.093 0.165
27 O 0.249 0.082 0.988
28 O 0.250 0.083 0.488
29 O 0.258 0.150 0.769
30 O 0.260 0.148 0.268
31 O 0.940 0.325 0.895
32 O 0.568 0.323 0.907
33 O 0.935 0.312 0.396
34 O 0.565 0.312 0.412
35 O 0.743 0.426 0.692
36 O 0.250 0.424 0.595
37 O 0.730 0.426 0.200
38 O 0.270 0.426 0.089
39 O 0.749 0.588 0.899
40 O 0.250 0.582 0.802
41 O 0.749 0.577 0.410
42 O 0.247 0.575 0.302
43 O 0.433 0.691 0.593
44 O 0.064 0.690 0.594
45 O 0.433 0.696 0.098
46 O 0.066 0.682 0.092
47 O 0.749 0.863 0.731
48 O 0.753 0.847 0.248
49 O 0.748 0.907 0.508
50 O 0.749 0.890 0.027
51 O 0.249 0.897 0.832
52 O 0.250 0.895 0.335



Order of stability, best first: i, ii